(1)
Below is a relaxed Ce2H8S3O16 crystal, with properties calculated at the GGA-PBE level.

a = 12.633 Å, b = 7.202 Å, c = 18.937 Å
α = 90.00°, β = 130.85°, γ = 90.00°
Space group P2_1/c (No. 14)
Symmetry-distinct sites (fractional):
Ce (0.197, 0.123, 0.198) (multiplicity 4)
Ce (0.217, 0.626, 0.912) (multiplicity 4)
H (0.011, 0.043, 0.431) (multiplicity 4)
H (0.132, 0.192, 0.477) (multiplicity 4)
H (0.189, 0.046, 0.589) (multiplicity 4)
H (0.241, 0.554, 0.182) (multiplicity 4)
H (0.400, 0.049, 0.837) (multiplicity 4)
H (0.415, 0.207, 0.900) (multiplicity 4)
H (0.455, 0.128, 0.205) (multiplicity 4)
H (0.484, 0.657, 0.192) (multiplicity 4)
S (0.083, 0.113, 0.803) (multiplicity 4)
S (0.179, 0.610, 0.544) (multiplicity 4)
S (0.465, 0.679, 0.905) (multiplicity 4)
O (0.048, 0.660, 0.448) (multiplicity 4)
O (0.051, 0.141, 0.711) (multiplicity 4)
O (0.058, 0.591, 0.724) (multiplicity 4)
O (0.113, 0.057, 0.474) (multiplicity 4)
O (0.157, 0.221, 0.362) (multiplicity 4)
O (0.169, 0.555, 0.351) (multiplicity 4)
O (0.170, 0.675, 0.616) (multiplicity 4)
O (0.197, 0.095, 0.056) (multiplicity 4)
O (0.204, 0.063, 0.647) (multiplicity 4)
O (0.296, 0.704, 0.558) (multiplicity 4)
O (0.336, 0.552, 0.845) (multiplicity 4)
O (0.368, 0.175, 0.835) (multiplicity 4)
O (0.407, 0.065, 0.547) (multiplicity 4)
O (0.439, 0.101, 0.248) (multiplicity 4)
O (0.454, 0.738, 0.472) (multiplicity 4)
O (0.455, 0.682, 0.344) (multiplicity 4)

Properties
For the MP2020-corrected energy, the calculation gives -6.540 eV per atom. The formation energy comes out at -2.037 eV per atom. Its calculated density is 3264 kg/m³.



(2)
Below is a relaxed MgH6Cl2 crystal, with properties calculated at the GGA-PBE level.

a = 12.367 Å, b = 11.084 Å, c = 3.775 Å
α = 90.00°, β = 90.87°, γ = 90.00°
Space group C2/m (No. 12)
Symmetry-distinct sites (fractional):
Mg (0.000, 0.000, 0.000) (multiplicity 2)
H (0.009, 0.254, 0.405) (multiplicity 8)
H (0.250, 0.000, 0.390) (multiplicity 4)
Cl (0.182, 0.500, 0.865) (multiplicity 4)

Properties
For the MP2020-corrected energy, the calculation gives -3.040 eV per atom. The formation energy comes out at -0.189 eV per atom. Its calculated density is 650 kg/m³.



(3)
Below is a relaxed Na2Nb4Se4O19 crystal, with properties calculated at the GGA-PBE level.

a = 4.014 Å, b = 10.369 Å, c = 11.124 Å
α = 106.08°, β = 90.05°, γ = 97.42°
Space group P-1 (No. 2)
Symmetry-distinct sites (fractional):
Na (0.224, 0.063, 0.139) (multiplicity 2)
Nb (0.339, 0.187, 0.704) (multiplicity 2)
Nb (0.432, 0.446, 0.319) (multiplicity 2)
Se (0.286, 0.717, 0.987) (multiplicity 2)
Se (0.344, 0.825, 0.585) (multiplicity 2)
O (0.029, 0.570, 0.691) (multiplicity 2)
O (0.120, 0.823, 0.295) (multiplicity 2)
O (0.245, 0.866, 0.959) (multiplicity 2)
O (0.318, 0.976, 0.698) (multiplicity 2)
O (0.354, 0.123, 0.512) (multiplicity 2)
O (0.396, 0.226, 0.890) (multiplicity 2)
O (0.397, 0.238, 0.328) (multiplicity 2)
O (0.436, 0.353, 0.126) (multiplicity 2)
O (0.457, 0.372, 0.699) (multiplicity 2)
O (0.500, 0.500, 0.500) (multiplicity 1)

Properties
For the MP2020-corrected energy, the calculation gives -7.455 eV per atom. The formation energy comes out at -2.246 eV per atom. Its calculated density is 3908 kg/m³.



(4)
Below is a relaxed TbCuO3 crystal, with properties calculated at the GGA-PBE level.

a = 3.783 Å, b = 3.783 Å, c = 3.783 Å
α = 90.00°, β = 90.00°, γ = 90.00°
Space group Pm-3m (No. 221)
Symmetry-distinct sites (fractional):
Tb (0.000, 0.000, 0.000) (multiplicity 1)
Cu (0.500, 0.500, 0.500) (multiplicity 1)
O (0.000, 0.500, 0.500) (multiplicity 3)

Properties
For the MP2020-corrected energy, the calculation gives -6.968 eV per atom. The formation energy comes out at -2.252 eV per atom. Its calculated density is 8296 kg/m³.



(5)
Below is a relaxed IrC2 crystal, with properties calculated at the GGA-PBE level.

a = 4.563 Å, b = 4.563 Å, c = 5.252 Å
α = 90.00°, β = 90.00°, γ = 90.00°
Space group I4/mcm (No. 140)
Symmetry-distinct sites (fractional):
Ir (0.000, 0.000, 0.250) (multiplicity 4)
C (0.113, 0.387, 0.000) (multiplicity 8)

Properties
The polymorph energy (0 for the lowest one) is 241 meV per atom. The formation energy comes out at 1.417 eV per atom. Its calculated density is 13135 kg/m³.



(6)
Below is a relaxed Rb2Be2CdO6F8 crystal, with properties calculated at the GGA-PBE level.

a = 6.510 Å, b = 11.681 Å, c = 8.532 Å
α = 90.00°, β = 108.96°, γ = 90.00°
Space group P2_1/c (No. 14)
Symmetry-distinct sites (fractional):
Rb (0.140, 0.139, 0.416) (multiplicity 4)
Be (0.245, 0.666, 0.906) (multiplicity 4)
Cd (0.500, 0.000, 0.000) (multiplicity 2)
O (0.144, 0.549, 0.533) (multiplicity 4)
O (0.269, 0.128, 0.877) (multiplicity 4)
O (0.427, 0.135, 0.157) (multiplicity 4)
F (0.096, 0.579, 0.762) (multiplicity 4)
F (0.100, 0.730, 0.407) (multiplicity 4)
F (0.291, 0.588, 0.060) (multiplicity 4)
F (0.453, 0.697, 0.863) (multiplicity 4)

Properties
For the MP2020-corrected energy, the calculation gives -4.414 eV per atom. The formation energy comes out at -1.500 eV per atom. Its calculated density is 2973 kg/m³.



(7)
Below is a relaxed Ca2LaTaO6 crystal, with properties calculated at the GGA-PBE level.

a = 5.706 Å, b = 5.937 Å, c = 10.013 Å
α = 90.00°, β = 124.65°, γ = 90.00°
Space group Pc (No. 7)
Symmetry-distinct sites (fractional):
Ca (0.000, 0.199, 0.000) (multiplicity 2)
Ca (0.233, 0.247, 0.746) (multiplicity 2)
La (0.466, 0.302, 0.491) (multiplicity 2)
Ta (0.732, 0.249, 0.244) (multiplicity 2)
O (0.074, 0.073, 0.298) (multiplicity 2)
O (0.394, 0.427, 0.194) (multiplicity 2)
O (0.494, 0.034, 0.678) (multiplicity 2)
O (0.617, 0.301, 0.016) (multiplicity 2)
O (0.850, 0.197, 0.475) (multiplicity 2)
O (0.972, 0.469, 0.813) (multiplicity 2)

Properties
For the MP2020-corrected energy, the calculation gives -8.642 eV per atom. The formation energy comes out at -3.593 eV per atom. Its calculated density is 5903 kg/m³.



(8)
Below is a relaxed Fe3Re crystal, with properties calculated at the GGA-PBE level.

a = 5.0945 Å, b = 5.0945 Å, c = 4.0597 Å
α = 90.00°, β = 90.00°, γ = 120.00°
Space group P6_3/mmc (No. 194)
Symmetry-distinct sites (fractional):
Fe (0.1626, 0.3252, 0.2500) (multiplicity 6)
Re (0.3333, 0.6667, 0.7500) (multiplicity 2)

Properties
The formation energy comes out at -0.004 eV per atom. Its calculated density is 12875 kg/m³.



(9)
Below is a relaxed K4MgNb2Cu2S8 crystal, with properties calculated at the GGA-PBE level.

a = 5.668 Å, b = 23.829 Å, c = 7.144 Å
α = 90.00°, β = 111.10°, γ = 90.00°
Space group C2 (No. 5)
Symmetry-distinct sites (fractional):
K (0.000, 0.000, 0.000) (multiplicity 2)
K (0.000, 0.133, 0.500) (multiplicity 2)
K (0.000, 0.377, 0.000) (multiplicity 2)
K (0.000, 0.778, 0.500) (multiplicity 2)
Mg (0.000, 0.578, 0.000) (multiplicity 2)
Nb (0.000, 0.206, 0.000) (multiplicity 2)
Nb (0.000, 0.954, 0.500) (multiplicity 2)
Cu (0.000, 0.451, 0.500) (multiplicity 2)
Cu (0.000, 0.706, 0.000) (multiplicity 2)
S (0.154, 0.258, 0.797) (multiplicity 4)
S (0.155, 0.898, 0.303) (multiplicity 4)
S (0.163, 0.511, 0.289) (multiplicity 4)
S (0.170, 0.643, 0.816) (multiplicity 4)

Properties
The polymorph energy (0 for the lowest one) is 0 meV per atom. For the MP2020-corrected energy, the calculation gives -5.126 eV per atom. The formation energy comes out at -1.154 eV per atom. Its calculated density is 2767 kg/m³.



(10)
Below is a relaxed RbMgRuO3 crystal, with properties calculated at the GGA-PBE level.

a = 4.056 Å, b = 4.056 Å, c = 5.350 Å
α = 90.00°, β = 90.00°, γ = 90.00°
Space group P4/mmm (No. 123)
Symmetry-distinct sites (fractional):
Rb (0.000, 0.000, 0.000) (multiplicity 1)
Mg (0.000, 0.000, 0.500) (multiplicity 1)
Ru (0.500, 0.500, 0.500) (multiplicity 1)
O (0.000, 0.500, 0.500) (multiplicity 2)
O (0.500, 0.500, 0.000) (multiplicity 1)

Properties
The polymorph energy (0 for the lowest one) is 485 meV per atom. For the MP2020-corrected energy, the calculation gives -5.632 eV per atom. The formation energy comes out at -1.182 eV per atom. Its calculated density is 4884 kg/m³.



(11)
Below is a relaxed LiAl2H2O4 crystal, with properties calculated at the GGA-PBE level.

a = 16.370 Å, b = 2.935 Å, c = 3.821 Å
α = 90.00°, β = 90.87°, γ = 90.00°
Space group Cm (No. 8)
Symmetry-distinct sites (fractional):
Li (0.000, 0.000, 0.000) (multiplicity 2)
Al (0.296, 0.500, 0.985) (multiplicity 2)
Al (0.398, 0.000, 0.493) (multiplicity 2)
H (0.039, 0.000, 0.508) (multiplicity 2)
H (0.170, 0.000, 0.955) (multiplicity 2)
O (0.230, 0.000, 0.980) (multiplicity 2)
O (0.325, 0.500, 0.487) (multiplicity 2)
O (0.386, 0.000, 0.992) (multiplicity 2)
O (0.476, 0.500, 0.497) (multiplicity 2)

Properties
The polymorph energy (0 for the lowest one) is 32 meV per atom. For the MP2020-corrected energy, the calculation gives -6.240 eV per atom. The formation energy comes out at -2.243 eV per atom. Its calculated density is 2296 kg/m³.



(12)
Below is a relaxed DyCoSi2Rh crystal, with properties calculated at the GGA-PBE level.

a = 3.981 Å, b = 3.981 Å, c = 9.897 Å
α = 90.00°, β = 90.00°, γ = 90.00°
Space group I-4m2 (No. 119)
Symmetry-distinct sites (fractional):
Dy (0.000, 0.000, 0.000) (multiplicity 2)
Co (0.000, 0.500, 0.750) (multiplicity 2)
Si (0.000, 0.000, 0.376) (multiplicity 4)
Rh (0.000, 0.500, 0.250) (multiplicity 2)

Properties
The formation energy comes out at -0.956 eV per atom. Its calculated density is 8057 kg/m³.



(13)
Below is a relaxed Pr2Cu3Sn6 crystal, with properties calculated at the GGA-PBE level.

a = 4.486 Å, b = 4.486 Å, c = 26.201 Å
α = 90.00°, β = 90.00°, γ = 90.00°
Space group I4mm (No. 107)
Symmetry-distinct sites (fractional):
Pr (0.000, 0.000, 0.000) (multiplicity 2)
Pr (0.000, 0.000, 0.312) (multiplicity 2)
Cu (0.000, 0.000, 0.550) (multiplicity 2)
Cu (0.000, 0.500, 0.402) (multiplicity 4)
Sn (0.000, 0.000, 0.454) (multiplicity 2)
Sn (0.000, 0.000, 0.846) (multiplicity 2)
Sn (0.000, 0.500, 0.104) (multiplicity 4)
Sn (0.000, 0.500, 0.216) (multiplicity 4)

Properties
The formation energy comes out at -0.377 eV per atom. Its calculated density is 7463 kg/m³.



(14)
Below is a relaxed NaCrSe2 crystal, with properties calculated at the GGA-PBE level.

a = 3.7839 Å, b = 3.7839 Å, c = 20.4859 Å
α = 90.00°, β = 90.00°, γ = 120.00°
Space group R-3m (No. 166, hexagonal axes)
Symmetry-distinct sites (fractional):
Na (0.0000, 0.0000, 0.0000) (multiplicity 3)
Cr (0.0000, 0.0000, 0.5000) (multiplicity 3)
Se (0.0000, 0.0000, 0.2330) (multiplicity 6)

Properties
For the MP2020-corrected energy, the calculation gives -5.536 eV per atom. The formation energy comes out at -1.044 eV per atom. Its calculated density is 4568 kg/m³.